This record from Materials Project describes a relaxed Cu4S3N crystal. The functional is PBE-GGA.

abc: 3.879 3.879 9.118
angles: 90.00 90.00 90.00
Fractional coordinates of all 8 atoms:
Cu 0.500 0.000 0.833
Cu 0.000 0.500 0.833
Cu 0.500 0.000 0.167
Cu 0.000 0.500 0.167
S 0.000 0.000 0.000
S 0.500 0.500 0.707
S 0.500 0.500 0.293
N 0.000 0.000 0.500

Computed properties:
As for the symmetry: No. 123. As for the total moment: 0.35 μB per atom. The formation energy comes out at 0.318 eV per atom.